Here is a geometry-optimized MgCr4O8 structure from the Materials Project. Energies are from PBE with a Hubbard U.

Output
Magnetization ... 10.00 μB/f.u.
ΔE_f ... -27.8 eV per formula unit
Total energy ... -94.136 eV per formula unit
Polymorph energy (0 for the lowest one) ... 113 meV per atom

```
MgCr4O8
1.0
-0.717 5.623 1.859
-4.356 1.310 3.793
1.294 1.459 5.605
Cr O Mg
4 8 1
Direct
0.632 0.112 0.625 Cr
0.645 0.630 0.095 Cr
0.632 0.631 0.625 Cr
0.261 0.248 0.243 Cr
0.850 0.865 0.419 O
0.838 0.865 0.881 O
0.420 0.858 0.864 O
0.389 0.377 0.375 O
0.389 0.858 0.375 O
0.869 0.378 0.375 O
0.383 0.379 0.859 O
0.838 0.415 0.881 O
0.123 0.629 0.620 Mg
```